Li6Ni3P6WO24: relaxed, PBE+U.

Cell and atoms, written as POSCAR:
```
Li6Ni3P6WO24
1.0
-3.811 -7.806 -0.463
3.985 -6.488 -4.318
3.354 -6.737 4.473
O P Li Ni W
24 6 6 3 1
direct
0.415 0.563 0.773
0.817 0.614 0.980
0.268 0.532 0.125
0.895 0.683 0.477
0.617 0.973 0.818
0.481 0.221 0.573
0.265 0.081 0.900
0.976 0.812 0.618
0.590 0.449 0.233
0.773 0.415 0.564
0.737 0.906 0.085
0.131 0.264 0.513
0.195 0.386 0.988
0.563 0.775 0.414
0.549 0.121 0.272
0.908 0.085 0.734
0.965 0.198 0.386
0.904 0.260 0.073
0.234 0.595 0.445
0.475 0.894 0.688
0.379 0.004 0.203
0.048 0.922 0.271
0.087 0.738 0.905
0.686 0.479 0.892
0.249 0.538 0.960
0.745 0.445 0.045
0.446 0.049 0.742
0.541 0.962 0.251
0.047 0.747 0.442
0.956 0.248 0.534
0.844 0.634 0.319
0.751 0.156 0.352
0.038 0.026 0.018
0.471 0.498 0.489
0.319 0.842 0.634
0.633 0.324 0.839
0.648 0.649 0.648
0.355 0.362 0.352
0.146 0.150 0.143
0.853 0.850 0.853
```

Summary:
Mass density in g/cm³: 3.4
Magnetic moment in μB/f.u.: 6.00
SG: P1 (1)
Calculated total energy in eV per formula unit: -260.369